5
Lattice="5.059 0.000 0.000 0.000 5.059 0.000 0.000 0.000 5.059" Properties=species:S:1:pos:R:3 comment="meta-GGA r2SCAN Sr3PN, optimized geometry" mass_density_g_cm3=3.9 dft_energy_ev_per_atom=-13.666 volume_a3_per_atom=25.9 m_tot_mub_per_atom=0.000 formation_enthalpy_0k_ev_per_atom=-0.953 pbc="T T T"
N 2.530 2.530 2.530
Sr 2.530 0.000 2.530
Sr 2.530 2.530 0.000
Sr 0.000 2.530 2.530
P 0.000 0.000 0.000

6
Lattice="-2.824 0.691 2.568 2.217 -1.457 2.830 2.870 6.897 1.301" Properties=species:S:1:pos:R:3 comment="meta-GGA r2SCAN CaCoSi, optimized geometry" mass_density_g_cm3=3.7 dft_energy_ev_per_atom=-10.158 volume_a3_per_atom=19.0 m_tot_mub_per_atom=0.000 formation_enthalpy_0k_ev_per_atom=-0.476 pbc="T T T"
Ca 1.818 4.542 2.242
Ca 0.446 1.590 4.457
Co 0.957 -0.920 2.764
Co -1.563 0.154 2.634
Si 1.975 5.265 5.150
Si 0.289 0.867 1.549

28
Lattice="-3.731 -0.252 -6.420 -1.811 -4.650 5.504 -6.133 6.315 3.316" Properties=species:S:1:pos:R:3 comment="meta-GGA r2SCAN Lu2Ga9Rh3, optimized geometry" mass_density_g_cm3=9.5 dft_energy_ev_per_atom=-18.701 volume_a3_per_atom=16.1 m_tot_mub_per_atom=0.000 formation_enthalpy_0k_ev_per_atom=-0.733 pbc="T T T"
Lu -5.835 4.644 0.379
Lu -6.470 -1.788 -1.891
Lu -5.205 3.201 4.292
Lu -5.840 -3.231 2.022
Ga -7.557 4.245 2.783
Ga -2.240 0.954 0.712
Ga -3.829 2.568 -0.751
Ga -8.488 0.314 -0.832
Ga -1.737 0.414 -1.882
Ga -9.436 0.459 1.689
Ga -3.188 1.099 3.233
Ga -4.186 -0.128 -0.826
Ga -9.938 0.998 4.283
Ga -7.846 -1.155 3.152
Ga -7.489 1.541 3.227
Ga -3.783 -1.051 1.675
Ga -1.096 -1.055 2.102
Ga -4.118 -2.833 -0.381
Ga -7.892 2.463 0.727
Ga -10.579 2.467 0.299
Ga -6.338 -0.546 0.819
Ga -5.337 1.959 1.582
Rh -5.508 -0.049 3.248
Rh -6.167 1.461 -0.847
Rh 0.000 0.000 0.000
Rh -2.441 -3.206 1.590
Rh -3.067 3.157 1.658
Rh -3.101 -1.696 -2.505